LaCoSi2: optimized geometry, PBE.

Properties
- SG: Cmcm, No. 63
- Total DFT energy (no corrections): -6.46 eV/atom
- Theoretical density: 5.8 g/cm3
- ΔH_f (0 K): -696.8 meV per atom

a = 8.538 Å, b = 8.538 Å, c = 4.123 Å
α = 90.00°, β = 90.00°, γ = 151.26°
Atoms (fractional coordinates):
La  0.607  0.393  0.250
La  0.393  0.607  0.750
Co  0.818  0.182  0.250
Co  0.182  0.818  0.750
Si  0.956  0.044  0.250
Si  0.044  0.956  0.750
Si  0.250  0.750  0.250
Si  0.750  0.250  0.750